Entry 1:
# PBE with a Hubbard U V3O4F2, relaxed
# Volume = 202 Å³/cell
data_V3O4F2
_chemical_formula_sum 'V6 O8 F4'
_cell_length_a 5.615
_cell_length_b 4.670
_cell_length_c 7.716
_cell_angle_alpha 90.00
_cell_angle_beta 93.46
_cell_angle_gamma 90.00
_symmetry_space_group_name_H-M 'P 1 21 1'
_symmetry_Int_Tables_number 4
loop_
_symmetry_equiv_pos_as_xyz
'x,y,z'
'-x,y+1/2,-z'
loop_
_atom_site_label
_atom_site_type_symbol
_atom_site_fract_x
_atom_site_fract_y
_atom_site_fract_z
_atom_site_occupancy
V1 V 0.085 0.000 0.348 1
V2 V 0.265 0.535 0.005 1
V3 V 0.394 0.044 0.691 1
O1 O 0.123 0.826 0.577 1
O2 O 0.212 0.317 0.773 1
O3 O 0.295 0.714 0.237 1
O4 O 0.448 0.824 0.893 1
F1 F 0.058 0.211 0.102 1
F2 F 0.391 0.227 0.444 1

---

Entry 2:
# PBE with a Hubbard U V3O4F2, relaxed
# Total magnetic moment = 10.0 Bohr magnetons per cell
# Volume = 202 Å³/cell
data_V3O4F2
_chemical_formula_sum 'V6 O8 F4'
_cell_length_a 4.694
_cell_length_b 5.634
_cell_length_c 7.665
_cell_angle_alpha 85.60
_cell_angle_beta 87.18
_cell_angle_gamma 87.17
_symmetry_space_group_name_H-M 'P 1'
_symmetry_Int_Tables_number 1
loop_
_symmetry_equiv_pos_as_xyz
'x,y,z'
loop_
_atom_site_label
_atom_site_type_symbol
_atom_site_fract_x
_atom_site_fract_y
_atom_site_fract_z
_atom_site_occupancy
V1 V 0.000 0.000 0.000 1
V2 V 0.001 0.335 0.655 1
V3 V 0.501 0.838 0.662 1
V4 V 0.525 0.190 0.333 1
V5 V 0.530 0.527 0.004 1
V6 V 0.976 0.660 0.322 1
O1 O 0.304 0.492 0.221 1
O2 O 0.309 0.806 0.897 1
O3 O 0.314 0.138 0.564 1
O4 O 0.696 0.534 0.773 1
O5 O 0.704 0.219 0.092 1
O6 O 0.720 0.867 0.428 1
O7 O 0.806 0.710 0.101 1
O8 O 0.812 0.382 0.429 1
F1 F 0.199 0.303 0.894 1
F2 F 0.199 0.638 0.556 1
F3 F 0.205 0.974 0.232 1
F4 F 0.809 0.035 0.762 1

---

Number 1: energy of formation -2.7137 eV per atom. Number 2: energy of formation -2.7005 eV per atom.